First-principles (PBE with a Hubbard U) data for Mg3CoB8P8H32O52 after structural relaxation, as listed in the Materials Project.

a b c (Å): 7.8587 8.4549 14.7630
angles (deg): 90.03 90.03 90.24
Element x y z (fractional)
B (0.4176, 0.2733, 0.1666)
B (0.5824, 0.7267, 0.8334)
B (0.9170, 0.0599, 0.2819)
B (0.5824, 0.2266, 0.6666)
B (0.4176, 0.7734, 0.3335)
B (0.9171, 0.5601, 0.2180)
B (0.0830, 0.9403, 0.7178)
B (0.0830, 0.4401, 0.7818)
O (0.2518, 0.0150, 0.7205)
O (0.5453, 0.6583, 0.3030)
O (0.2517, 0.5147, 0.7793)
O (0.2471, 0.7110, 0.3102)
O (0.7529, 0.2891, 0.6898)
O (0.0606, 0.3523, 0.6947)
O (0.9306, 0.6600, 0.1377)
O (0.7532, 0.7889, 0.8110)
O (0.4389, 0.4254, 0.2172)
O (0.7568, 0.4395, 0.4531)
O (0.7483, 0.9853, 0.2792)
O (0.0460, 0.9309, 0.2807)
O (0.0456, 0.4307, 0.2195)
O (0.5614, 0.5741, 0.7832)
O (0.2447, 0.8565, 0.1037)
O (0.4294, 0.2935, 0.0690)
O (0.7555, 0.1432, 0.8964)
O (0.0706, 0.3401, 0.8624)
O (0.7549, 0.9391, 0.0469)
O (0.4549, 0.8416, 0.8023)
O (0.9394, 0.6478, 0.3051)
O (0.9538, 0.5692, 0.7805)
O (0.9540, 0.0692, 0.7192)
O (0.0606, 0.8525, 0.8048)
O (0.4294, 0.7936, 0.4312)
O (0.0502, 0.3021, 0.0616)
O (0.9395, 0.1475, 0.1947)
O (0.9294, 0.1602, 0.3623)
O (0.7452, 0.9392, 0.4873)
O (0.2548, 0.0608, 0.5127)
O (0.2470, 0.2110, 0.1897)
O (0.4477, 0.8356, 0.6279)
O (0.0508, 0.8017, 0.4383)
O (0.7432, 0.4376, 0.0129)
O (0.4389, 0.9256, 0.2832)
O (0.4547, 0.3417, 0.6973)
O (0.5523, 0.1646, 0.3718)
O (0.5490, 0.6649, 0.1285)
O (0.5691, 0.7075, 0.9311)
O (0.9534, 0.6987, 0.9384)
O (0.4477, 0.3353, 0.8718)
O (0.9492, 0.1983, 0.5616)
O (0.2432, 0.5605, 0.5469)
O (0.7481, 0.4861, 0.2201)
O (0.5613, 0.0743, 0.7168)
O (0.7552, 0.6440, 0.6039)
O (0.2431, 0.0605, 0.9531)
O (0.2448, 0.3561, 0.3962)
O (0.0706, 0.8401, 0.6374)
O (0.2552, 0.5605, 0.9875)
O (0.5451, 0.1582, 0.1973)
O (0.5706, 0.2065, 0.5688)
H (0.1447, 0.1144, 0.5264)
H (0.7754, 0.9967, 0.1030)
H (0.2247, 0.4256, 0.3441)
H (0.6425, 0.1898, 0.8840)
H (0.2250, 0.9258, 0.1559)
H (0.1453, 0.6147, 0.9735)
H (0.7542, 0.5158, 0.5042)
H (0.7752, 0.0742, 0.8440)
H (0.5432, 0.8298, 0.4502)
H (0.7235, 0.9219, 0.5518)
H (0.2458, 0.4842, 0.4958)
H (0.3579, 0.3101, 0.3837)
H (0.4568, 0.6685, 0.9506)
H (0.2771, 0.5782, 0.0520)
H (0.8554, 0.8856, 0.4736)
H (0.7749, 0.4991, 0.3974)
H (0.7752, 0.5743, 0.6559)
H (0.2459, 0.9842, 0.0042)
H (0.4568, 0.1703, 0.5499)
H (0.9654, 0.2774, 0.8682)
H (0.8547, 0.3865, 0.0271)
H (0.9653, 0.7775, 0.6316)
H (0.3577, 0.8099, 0.1162)
H (0.2250, 0.0009, 0.8974)
H (0.7550, 0.0150, 0.9953)
H (0.0348, 0.2226, 0.3683)
H (0.5432, 0.3296, 0.0499)
H (0.7246, 0.4234, 0.9479)
H (0.2250, 0.5010, 0.6027)
H (0.2765, 0.0781, 0.4482)
H (0.0350, 0.7237, 0.1313)
H (0.6420, 0.6899, 0.6163)
Mg (0.7507, 0.1973, 0.4651)
Mg (0.2493, 0.3028, 0.9653)
Mg (0.2492, 0.8027, 0.5348)
P (0.5691, 0.0641, 0.2867)
P (0.4309, 0.4358, 0.7867)
P (0.5687, 0.5643, 0.2135)
P (0.0685, 0.2761, 0.1630)
P (0.0687, 0.7761, 0.3370)
P (0.4310, 0.9360, 0.7130)
P (0.9320, 0.7240, 0.8370)
P (0.9312, 0.2240, 0.6629)
Co (0.7501, 0.6976, 0.0349)

E (MP2020)	-691.98	eV/f.u.

---

First-principles (PBE with a Hubbard U) data for CoB12H28N2O30 after structural relaxation, as listed in the Materials Project.

a b c (Å): 7.5648 7.9186 11.1414
angles (deg): 107.92 94.89 90.38
Element x y z (fractional)
B (0.8720, 0.1085, 0.6518)
B (0.4610, 0.7622, 0.0450)
B (0.6497, 0.8563, 0.5606)
B (0.3503, 0.1437, 0.4394)
B (0.5390, 0.2378, 0.9550)
B (0.1084, 0.5646, 0.2847)
B (0.1280, 0.8915, 0.3482)
B (0.6695, 0.9873, 0.7957)
B (0.1708, 0.7016, 0.1159)
B (0.8292, 0.2984, 0.8841)
B (0.3305, 0.0127, 0.2043)
B (0.8916, 0.4354, 0.7153)
H (0.7198, 0.8163, 0.8970)
H (0.2046, 0.2793, 0.7696)
H (0.2933, 0.4629, 0.8539)
H (0.6117, 0.7058, 0.3751)
H (0.3804, 0.7301, 0.6398)
H (0.3167, 0.5176, 0.5618)
H (0.8801, 0.9617, 0.3967)
H (0.3883, 0.2942, 0.6249)
H (0.1317, 0.9710, 0.7889)
H (0.8870, 0.6972, 0.7446)
H (0.7859, 0.3160, 0.4796)
H (0.6132, 0.5771, 0.9406)
H (0.2802, 0.1837, 0.1030)
H (0.9764, 0.6507, 0.9681)
H (0.6196, 0.2699, 0.3602)
H (0.1762, 0.6454, 0.6570)
H (0.7954, 0.7207, 0.2304)
H (0.3868, 0.4229, 0.0594)
H (0.1199, 0.0383, 0.6033)
H (0.6833, 0.4824, 0.4382)
H (0.3050, 0.9671, 0.8774)
H (0.2141, 0.6840, 0.5204)
H (0.7067, 0.5371, 0.1461)
H (0.8238, 0.3546, 0.3430)
H (0.1130, 0.3028, 0.2554)
H (0.8683, 0.0290, 0.2111)
H (0.6950, 0.0329, 0.1226)
H (0.0236, 0.3493, 0.0319)
O (0.2068, 0.1159, 0.1445)
O (0.7770, 0.1355, 0.7723)
O (0.1159, 0.5540, 0.1591)
O (0.4659, 0.9359, 0.1184)
O (0.5770, 0.7157, 0.4605)
O (0.1265, 0.7244, 0.3790)
O (0.3278, 0.6425, 0.0443)
O (0.9157, 0.5858, 0.6798)
O (0.5341, 0.0641, 0.8816)
O (0.2236, 0.0281, 0.4536)
O (0.7764, 0.9719, 0.5464)
O (0.4230, 0.2843, 0.5395)
O (0.4147, 0.1268, 0.3243)
O (0.0553, 0.0592, 0.6797)
O (0.0280, 0.7536, 0.0377)
O (0.8735, 0.2756, 0.6210)
O (0.9447, 0.9408, 0.3203)
O (0.1799, 0.9227, 0.8584)
O (0.8841, 0.4460, 0.8409)
O (0.7932, 0.8841, 0.8555)
O (0.2230, 0.8645, 0.2277)
O (0.5853, 0.8732, 0.6757)
O (0.5965, 0.7065, 0.9669)
O (0.8201, 0.0773, 0.1416)
O (0.6722, 0.3575, 0.9557)
O (0.0843, 0.4142, 0.3202)
O (0.4035, 0.2935, 0.0331)
O (0.2905, 0.3743, 0.7704)
O (0.7095, 0.6257, 0.2296)
O (0.9720, 0.2464, 0.9623)
Co (0.0000, 0.0000, 0.0000)
N (0.2718, 0.6452, 0.5962)
N (0.7282, 0.3548, 0.4038)

E (MP2020)	-481.69	eV/f.u.
energy above the lowest structure with this stoichiometry	0.000	eV per atom

---

First-principles (PBE with a Hubbard U) data for CoBPH2O6 after structural relaxation, as listed in the Materials Project.

a b c (Å): 7.5651 7.5651 12.7247
angles (deg): 90.00 90.00 120.00
Element x y z (fractional)
O (0.6021, 0.5299, 0.6946)
O (0.6576, 0.4438, 0.0178)
O (0.9133, 0.7931, 0.3464)
O (0.9772, 0.1929, 0.5041)
O (0.3979, 0.9278, 0.6387)
O (0.4832, 0.7565, 0.7744)
O (0.0228, 0.2157, 0.8292)
O (0.2069, 0.1202, 0.6798)
O (0.0867, 0.8798, 0.9869)
O (0.5909, 0.8293, 0.4500)
O (0.3424, 0.7862, 0.3155)
O (0.5168, 0.2732, 0.5589)
O (0.9278, 0.3979, 0.3613)
O (0.2435, 0.7268, 0.1077)
O (0.2384, 0.4091, 0.1167)
O (0.7616, 0.1707, 0.2166)
O (0.7565, 0.4832, 0.2256)
O (0.4701, 0.0722, 0.0279)
O (0.7862, 0.3424, 0.6845)
O (0.7843, 0.8071, 0.1625)
O (0.5299, 0.6021, 0.3054)
O (0.8071, 0.7843, 0.8375)
O (0.0722, 0.4701, 0.9721)
O (0.1707, 0.7616, 0.7834)
O (0.7931, 0.9133, 0.6536)
O (0.2157, 0.0228, 0.1708)
O (0.1202, 0.2069, 0.3202)
O (0.2138, 0.5562, 0.6488)
O (0.7268, 0.2435, 0.8923)
O (0.4091, 0.2384, 0.8833)
O (0.8293, 0.5909, 0.5500)
O (0.8798, 0.0867, 0.0131)
O (0.1929, 0.9772, 0.4959)
O (0.5562, 0.2138, 0.3512)
O (0.4438, 0.6576, 0.9822)
O (0.2732, 0.5168, 0.4411)
B (0.2540, 0.5636, 0.0424)
B (0.7460, 0.3095, 0.2909)
B (0.5636, 0.2540, 0.9576)
B (0.3095, 0.7460, 0.7091)
B (0.6905, 0.4364, 0.6242)
B (0.4364, 0.6905, 0.3758)
Co (0.1315, 0.0000, 0.8333)
Co (0.0000, 0.2428, 0.6667)
Co (0.7572, 0.7572, 0.0000)
Co (0.8685, 0.8685, 0.5000)
Co (0.0000, 0.1315, 0.1667)
Co (0.2428, 0.0000, 0.3333)
H (0.5471, 0.9037, 0.4960)
H (0.7307, 0.3008, 0.7561)
H (0.6992, 0.4299, 0.0894)
H (0.3566, 0.4529, 0.1626)
H (0.0963, 0.6434, 0.8293)
H (0.9037, 0.5471, 0.5040)
H (0.4299, 0.6992, 0.9106)
H (0.5701, 0.2693, 0.4227)
H (0.6434, 0.0963, 0.1707)
H (0.3008, 0.7307, 0.2439)
H (0.4529, 0.3566, 0.8374)
H (0.2693, 0.5701, 0.5773)
P (0.6790, 0.7514, 0.7379)
P (0.2486, 0.9276, 0.0713)
P (0.0724, 0.3210, 0.4046)
P (0.7514, 0.6790, 0.2621)
P (0.9276, 0.2486, 0.9287)
P (0.3210, 0.0724, 0.5954)

E (MP2020)	-79.02	eV/f.u.
energy above the lowest structure with this stoichiometry	0.000	eV per atom

---

First-principles (PBE with a Hubbard U) data for Co2BP3H6O14 after structural relaxation, as listed in the Materials Project.

a b c (Å): 7.2321 8.8974 16.4763
angles (deg): 90.00 90.00 90.00
Element x y z (fractional)
H (0.6927, 0.8470, 0.6752)
H (0.8628, 0.6883, 0.4350)
H (0.7134, 0.5208, 0.5935)
H (0.7864, 0.8455, 0.1291)
H (0.2136, 0.3455, 0.3709)
H (0.2039, 0.8747, 0.0395)
H (0.2926, 0.2963, 0.5618)
H (0.7866, 0.4792, 0.0935)
H (0.2961, 0.1253, 0.5395)
H (0.7961, 0.3747, 0.4605)
H (0.6372, 0.3117, 0.9350)
H (0.7926, 0.2037, 0.4382)
H (0.8073, 0.1530, 0.1752)
H (0.7136, 0.1545, 0.6291)
H (0.7074, 0.7963, 0.9382)
H (0.3073, 0.3470, 0.8248)
H (0.7039, 0.6253, 0.9605)
H (0.2866, 0.0208, 0.9065)
H (0.1372, 0.1883, 0.0650)
H (0.3628, 0.8117, 0.5650)
H (0.2864, 0.6545, 0.8709)
H (0.2134, 0.9792, 0.4065)
H (0.1927, 0.6530, 0.3248)
H (0.2074, 0.7037, 0.0618)
O (0.5353, 0.5227, 0.3597)
O (0.5130, 0.0248, 0.8586)
O (0.0216, 0.1313, 0.8042)
O (0.2259, 0.6505, 0.3925)
O (0.3482, 0.3542, 0.7490)
O (0.3450, 0.6390, 0.7693)
O (0.5251, 0.6560, 0.1865)
O (0.2741, 0.3706, 0.4242)
O (0.9870, 0.9752, 0.3586)
O (0.3506, 0.9929, 0.7266)
O (0.1605, 0.0021, 0.9290)
O (0.3246, 0.5096, 0.0899)
O (0.6605, 0.4979, 0.0710)
O (0.6494, 0.4929, 0.7734)
O (0.4749, 0.1560, 0.3135)
O (0.4647, 0.0227, 0.1403)
O (0.2021, 0.2601, 0.0991)
O (0.6518, 0.8542, 0.7510)
O (0.8506, 0.5071, 0.2734)
O (0.0353, 0.9773, 0.6403)
O (0.1494, 0.0071, 0.2266)
O (0.7259, 0.8706, 0.0758)
O (0.9784, 0.6313, 0.6958)
O (0.6754, 0.0096, 0.4101)
O (0.7741, 0.1294, 0.5758)
O (0.5627, 0.0636, 0.9952)
O (0.4373, 0.5636, 0.5048)
O (0.3074, 0.1956, 0.5847)
O (0.8482, 0.1458, 0.2510)
O (0.8246, 0.9904, 0.9101)
O (0.4870, 0.5248, 0.6414)
O (0.0627, 0.4364, 0.0048)
O (0.1550, 0.3610, 0.2693)
O (0.7979, 0.7601, 0.4009)
O (0.8395, 0.5021, 0.5710)
O (0.1518, 0.6458, 0.2490)
O (0.7741, 0.1505, 0.1075)
O (0.6926, 0.6956, 0.9153)
O (0.1926, 0.8044, 0.0847)
O (0.8074, 0.3044, 0.4153)
O (0.9749, 0.3440, 0.6865)
O (0.5216, 0.3687, 0.1958)
O (0.1754, 0.4904, 0.5899)
O (0.8450, 0.8610, 0.2307)
O (0.7021, 0.2399, 0.9009)
O (0.9373, 0.9364, 0.4952)
O (0.0130, 0.4752, 0.1414)
O (0.4784, 0.8687, 0.3042)
O (0.0251, 0.8440, 0.8135)
O (0.2741, 0.3495, 0.8925)
O (0.6550, 0.1390, 0.7307)
O (0.7259, 0.8495, 0.6075)
O (0.2979, 0.7399, 0.5991)
O (0.3395, 0.9979, 0.4290)
O (0.9647, 0.4773, 0.8597)
O (0.2259, 0.6294, 0.9242)
P (0.1311, 0.4695, 0.9170)
P (0.4931, 0.0066, 0.3595)
P (0.8689, 0.9695, 0.5830)
P (0.9533, 0.9950, 0.2639)
P (0.4533, 0.5050, 0.7361)
P (0.5069, 0.5066, 0.1405)
P (0.6311, 0.0305, 0.0830)
P (0.5467, 0.0050, 0.7639)
P (0.9931, 0.4934, 0.6405)
P (0.0467, 0.4950, 0.2361)
P (0.3689, 0.5305, 0.4170)
P (0.0069, 0.9934, 0.8595)
Co (0.3249, 0.8329, 0.1949)
Co (0.8249, 0.6671, 0.8051)
Co (0.6827, 0.6958, 0.2923)
Co (0.6751, 0.3329, 0.3051)
Co (0.1751, 0.1671, 0.6949)
Co (0.1827, 0.8042, 0.7077)
Co (0.3173, 0.1958, 0.2077)
Co (0.8173, 0.3042, 0.7923)
B (0.8468, 0.9162, 0.4166)
B (0.3468, 0.5838, 0.5834)
B (0.6532, 0.0838, 0.9166)
B (0.1532, 0.4162, 0.0834)

E (MP2020)	-179.55	eV/f.u.

---

First-principles (PBE with a Hubbard U) data for CoBPH2O6 after structural relaxation, as listed in the Materials Project.

a b c (Å): 7.9660 7.9660 12.6873
angles (deg): 90.00 90.00 120.00
Element x y z (fractional)
H (0.6465, 0.1416, 0.3324)
H (0.5561, 0.2652, 0.5971)
H (0.7348, 0.2910, 0.9304)
H (0.1384, 0.5079, 0.8846)
H (0.7090, 0.4439, 0.2638)
H (0.4786, 0.6909, 0.0378)
H (0.8584, 0.5050, 0.6657)
H (0.4921, 0.6305, 0.2179)
H (0.4950, 0.3535, 0.9990)
H (0.3695, 0.8616, 0.5512)
H (0.2124, 0.5214, 0.7045)
H (0.3091, 0.7876, 0.3711)
O (0.3625, 0.9353, 0.7949)
O (0.1907, 0.0260, 0.6620)
O (0.4919, 0.1215, 0.2163)
O (0.0606, 0.1989, 0.5000)
O (0.9188, 0.1546, 0.6847)
O (0.3923, 0.7936, 0.4938)
O (0.6296, 0.5081, 0.8830)
O (0.7661, 0.4866, 0.4012)
O (0.2673, 0.7942, 0.2969)
O (0.5269, 0.7327, 0.9635)
O (0.5729, 0.6375, 0.4615)
O (0.2075, 0.1402, 0.8512)
O (0.6065, 0.7988, 0.6287)
O (0.8011, 0.8616, 0.8333)
O (0.5134, 0.2795, 0.7345)
O (0.4012, 0.6076, 0.1604)
O (0.8353, 0.8093, 0.3287)
O (0.0647, 0.4271, 0.1282)
O (0.2058, 0.4731, 0.6302)
O (0.1384, 0.9394, 0.1667)
O (0.2357, 0.0812, 0.3514)
O (0.8271, 0.5630, 0.7256)
O (0.2012, 0.8077, 0.9620)
O (0.9326, 0.7925, 0.5178)
O (0.8598, 0.0674, 0.1845)
O (0.7359, 0.1729, 0.3923)
O (0.7205, 0.2339, 0.0678)
O (0.4370, 0.2641, 0.0589)
O (0.1923, 0.3935, 0.2954)
O (0.9740, 0.1647, 0.9954)
O (0.8785, 0.3704, 0.5496)
O (0.2064, 0.5988, 0.8271)
O (0.6935, 0.4638, 0.1880)
O (0.8454, 0.7643, 0.0180)
O (0.7703, 0.3065, 0.8547)
O (0.5362, 0.2297, 0.5213)
B (0.7257, 0.3091, 0.4656)
B (0.5268, 0.7446, 0.5348)
B (0.5834, 0.2743, 0.1323)
B (0.2179, 0.4732, 0.2015)
B (0.6909, 0.4166, 0.7990)
B (0.2554, 0.7821, 0.8682)
Co (0.9150, 0.1521, 0.8409)
Co (0.8532, 0.8315, 0.6745)
Co (0.1685, 0.0217, 0.0079)
Co (0.9783, 0.1468, 0.3412)
Co (0.2372, 0.0850, 0.5076)
Co (0.8479, 0.7628, 0.1743)
P (0.9030, 0.2161, 0.0972)
P (0.7078, 0.7205, 0.9252)
P (0.3131, 0.0970, 0.7639)
P (0.2795, 0.9873, 0.2585)
P (0.7839, 0.6869, 0.4306)
P (0.0127, 0.2922, 0.5918)

E (MP2020)	-78.40	eV/f.u.
energy above the lowest structure with this stoichiometry	0.057	eV per atom

---

ΔE_f? In order: -2091 -1840 -2122 -2030 -2066 meV per atom.
Total moment? In order: 3.00 3.00 18.00 23.99 18.00 μB per cell.
Calculated total energy? In order: -6.29 -6.29 -6.66 -6.41 -6.60 eV per atom.